[1]
Entry from the Materials Project database: crystalline Sr2BIN2 at its relaxed geometry (PBE-GGA).

Lattice parameters (Å, degrees): 10.4205 4.2394 13.4121 90.00 91.42 90.00
Space group P2_1/m (No. 11)
Inequivalent atoms, fractional coordinates:
Sr: 0.0756 0.2500 0.4044 x2
Sr: 0.1955 0.2500 0.8834 x2
Sr: 0.3516 0.7500 0.1294 x2
Sr: 0.3956 0.7500 0.6747 x2
B: 0.1610 0.2500 0.6473 x2
B: 0.4167 0.7500 0.8955 x2
I: 0.0789 0.2500 0.1420 x2
I: 0.3474 0.7500 0.4038 x2
N: 0.0528 0.2500 0.5905 x2
N: 0.2689 0.2500 0.7052 x2
N: 0.3053 0.7500 0.9448 x2
N: 0.4776 0.2500 0.1604 x2

Results
The value obtained for the energy is -0.2209 hartree per atom. For the calculated density, the calculation gives 3.8 Mg/m³. The value obtained for the formation enthalpy at 0 K is -1422 meV/atom.



[2]
Entry from the Materials Project database: crystalline Ca3Ta2O8 at its relaxed geometry (PBE-GGA).

Lattice parameters (Å, degrees): 6.8615 12.7261 9.3073 90.00 90.00 90.00
Space group Cmce (No. 64)
Inequivalent atoms, fractional coordinates:
Ca: 0.0000 0.0000 0.0000 x4
Ca: 0.2500 0.1406 0.2500 x8
Ta: 0.0000 0.1163 0.6183 x8
O: 0.0000 0.0006 0.2516 x8
O: 0.0000 0.2429 0.7211 x8
O: 0.2213 0.1148 0.5021 x16

Results
For the energy above the lowest structure with this stoichiometry, the calculation gives 0.039 eV/atom. The value obtained for the energy is -0.3067 hartree per atom. For the calculated density, the calculation gives 5.0 Mg/m³. The value obtained for the formation enthalpy at 0 K is -3436 meV/atom.



[3]
Entry from the Materials Project database: crystalline Al2SiO5 at its relaxed geometry (PBE-GGA).

Lattice parameters (Å, degrees): 7.7782 5.8175 7.5732 90.00 90.00 90.00
Space group Pnma (No. 62)
Inequivalent atoms, fractional coordinates:
Al: 0.0000 0.0000 0.0000 x4
Al: 0.1538 0.2500 0.3570 x4
Si: 0.1589 0.7500 0.3473 x4
O: 0.0011 0.2500 0.5217 x4
O: 0.0656 0.2500 0.1426 x4
O: 0.0897 0.7500 0.1407 x4
O: 0.2237 0.0138 0.8745 x8

Results
For the energy above the lowest structure with this stoichiometry, the calculation gives 0.007 eV/atom. The value obtained for the energy is -0.2810 hartree per atom. For the calculated density, the calculation gives 3.1 Mg/m³. The value obtained for the formation enthalpy at 0 K is -3367 meV/atom.



[4]
Entry from the Materials Project database: crystalline Tb6NiBr10 at its relaxed geometry (PBE-GGA).

Lattice parameters (Å, degrees): 7.3586 9.1761 9.1789 108.68 97.05 106.13
Space group P-1 (No. 2)
Inequivalent atoms, fractional coordinates:
Tb: 0.0241 0.2014 0.4043 x2
Tb: 0.1217 0.5426 0.2543 x2
Tb: 0.3603 0.6380 0.6793 x2
Ni: 0.0000 0.5000 0.5000 x1
Br: 0.0868 0.8706 0.3228 x2
Br: 0.2085 0.2352 0.1440 x2
Br: 0.2603 0.5866 0.9634 x2
Br: 0.3649 0.9646 0.7759 x2
Br: 0.4498 0.3198 0.5866 x2

Results
The value obtained for the energy is -0.1662 hartree per atom. For the calculated density, the calculation gives 5.5 Mg/m³. The value obtained for the formation enthalpy at 0 K is -1897 meV/atom.



[5]
Entry from the Materials Project database: crystalline Er5Co4Si14 at its relaxed geometry (PBE-GGA).

Lattice parameters (Å, degrees): 12.3393 7.8249 7.7480 90.00 98.84 90.00
Space group P2_1/c (No. 14)
Inequivalent atoms, fractional coordinates:
Er: 0.0000 0.0000 0.0000 x2
Er: 0.3647 0.2483 0.3419 x4
Er: 0.3649 0.7491 0.3395 x4
Co: 0.9996 0.1275 0.6288 x4
Co: 0.2493 0.9999 0.0613 x4
Si: 0.0001 0.1660 0.3346 x4
Si: 0.1773 0.0056 0.7689 x4
Si: 0.1774 0.2263 0.5504 x4
Si: 0.1772 0.7262 0.0384 x4
Si: 0.1780 0.5057 0.8180 x4
Si: 0.4396 0.0002 0.1099 x4
Si: 0.4410 0.0004 0.6118 x4

Results
The value obtained for the energy is -0.2275 hartree per atom. For the calculated density, the calculation gives 6.6 Mg/m³. The value obtained for the formation enthalpy at 0 K is -615 meV/atom.



[6]
Entry from the Materials Project database: crystalline Na4Nb2Zn2Si3S3O24 at its relaxed geometry (PBE-GGA).

Lattice parameters (Å, degrees): 8.9275 9.0099 22.7426 89.10 89.95 60.39
Space group P1 (No. 1)
Inequivalent atoms, fractional coordinates:
Na: 0.0000 0.0000 0.0000 x1
Na: 0.0004 0.0126 0.5100 x1
Na: 0.0181 0.6638 0.6010 x1
Na: 0.3095 0.6545 0.0902 x1
Na: 0.3220 0.3278 0.6674 x1
Na: 0.3368 0.3301 0.1654 x1
Na: 0.3616 0.9887 0.2565 x1
Na: 0.6329 0.9923 0.7574 x1
Na: 0.6393 0.6795 0.3395 x1
Na: 0.6684 0.6646 0.8315 x1
Na: 0.6938 0.3308 0.9192 x1
Na: 0.9742 0.3266 0.4332 x1
Nb: 0.3191 0.3615 0.8218 x1
Nb: 0.3312 0.3396 0.3253 x1
Nb: 0.6409 0.6736 0.9924 x1
Nb: 0.6501 0.6894 0.4978 x1
Nb: 0.9713 0.0227 0.6599 x1
Nb: 0.9987 0.0011 0.1536 x1
Zn: 0.0162 0.9906 0.3626 x1
Zn: 0.3280 0.2960 0.5353 x1
Zn: 0.3354 0.3365 0.0295 x1
Zn: 0.6257 0.6782 0.1917 x1
Zn: 0.6852 0.6558 0.6980 x1
Zn: 0.9976 0.9948 0.8580 x1
Si: 0.2868 0.7137 0.2633 x1
Si: 0.3040 0.6450 0.9320 x1
Si: 0.3200 0.0434 0.4284 x1
Si: 0.3708 0.9798 0.0980 x1
Si: 0.6497 0.9752 0.6028 x1
Si: 0.6552 0.3797 0.0980 x1
Si: 0.7029 0.3088 0.7685 x1
Si: 0.9517 0.3822 0.5947 x1
Si: 0.9830 0.7248 0.7626 x1
S: 0.0323 0.3472 0.9306 x1
S: 0.0318 0.6337 0.4293 x1
S: 0.2775 0.0131 0.7634 x1
S: 0.3623 0.6782 0.5969 x1
S: 0.6134 0.0472 0.9295 x1
S: 0.6140 0.3437 0.4299 x1
S: 0.7042 0.0105 0.2648 x1
S: 0.9386 0.6784 0.0982 x1
S: 0.9873 0.3021 0.2627 x1
O: 0.0167 0.1847 0.2118 x1
O: 0.0249 0.8079 0.7018 x1
O: 0.1160 0.5389 0.0927 x1
O: 0.1199 0.3640 0.8763 x1
O: 0.1254 0.5169 0.3770 x1
O: 0.1303 0.5607 0.4829 x1
O: 0.1315 0.3808 0.5869 x1
O: 0.1329 0.3268 0.9832 x1
O: 0.1434 0.0351 0.4229 x1
O: 0.1557 0.8375 0.9232 x1
O: 0.1603 0.3032 0.2666 x1
O: 0.1599 0.8102 0.2034 x1
O: 0.1616 0.5287 0.7701 x1
O: 0.1666 0.0421 0.7097 x1
O: 0.1801 0.9732 0.1027 x1
O: 0.1914 0.8402 0.5961 x1
O: 0.1963 0.8361 0.3165 x1
O: 0.2000 0.9935 0.8169 x1
O: 0.2818 0.1762 0.4787 x1
O: 0.2956 0.1733 0.7674 x1
O: 0.2967 0.5232 0.2716 x1
O: 0.2981 0.5512 0.9912 x1
O: 0.3221 0.1710 0.0852 x1
O: 0.3359 0.5344 0.5853 x1
O: 0.3481 0.5072 0.8746 x1
O: 0.3487 0.1452 0.3683 x1
O: 0.4503 0.8675 0.7565 x1
O: 0.4547 0.7033 0.5416 x1
O: 0.4645 0.6562 0.6486 x1
O: 0.4674 0.8356 0.0425 x1
O: 0.4673 0.9047 0.1594 x1
O: 0.4763 0.6938 0.2591 x1
O: 0.4863 0.3640 0.0896 x1
O: 0.4983 0.8526 0.4348 x1
O: 0.5002 0.6440 0.9356 x1
O: 0.5012 0.3662 0.3740 x1
O: 0.5058 0.1678 0.5920 x1
O: 0.5089 0.1222 0.8743 x1
O: 0.5137 0.3006 0.7723 x1
O: 0.5208 0.1732 0.2677 x1
O: 0.5271 0.1512 0.9804 x1
O: 0.5277 0.3297 0.4810 x1
O: 0.6256 0.8856 0.6594 x1
O: 0.6280 0.4974 0.1521 x1
O: 0.6326 0.5010 0.4285 x1
O: 0.6339 0.8709 0.9365 x1
O: 0.6538 0.5004 0.7561 x1
O: 0.6755 0.8648 0.2602 x1
O: 0.6822 0.8407 0.5432 x1
O: 0.6892 0.4743 0.0367 x1
O: 0.7816 0.0379 0.2106 x1
O: 0.7843 0.0338 0.9255 x1
O: 0.7850 0.1937 0.4208 x1
O: 0.7963 0.1726 0.7100 x1
O: 0.7981 0.0024 0.3182 x1
O: 0.8068 0.2211 0.8277 x1
O: 0.8167 0.7035 0.7579 x1
O: 0.8246 0.4747 0.5323 x1
O: 0.8319 0.1899 0.1058 x1
O: 0.8346 0.7054 0.0438 x1
O: 0.8430 0.9687 0.6016 x1
O: 0.8494 0.4765 0.2526 x1
O: 0.8565 0.5121 0.9328 x1
O: 0.8579 0.6631 0.1515 x1
O: 0.8604 0.6332 0.4303 x1
O: 0.8609 0.5039 0.6476 x1
O: 0.9539 0.8447 0.1009 x1
O: 0.9552 0.8378 0.8181 x1
O: 0.9611 0.2311 0.3176 x1
O: 0.9738 0.1878 0.6016 x1
O: 0.9962 0.2053 0.9256 x1
O: 0.9956 0.8086 0.4191 x1

Results
The value obtained for the energy is -0.2418 hartree per atom. For the calculated density, the calculation gives 3.0 Mg/m³. The value obtained for the formation enthalpy at 0 K is -2396 meV/atom.